1.
Material: Mn7SnN6
Method: DFT, PBE-GGA
State: optimized geometry

Cell: 9.3237 5.3937 11.7663 Å, 90.00 90.00 90.00°
Sites, in units of the cell vectors:
1 Mn 0.0000 0.2244 0.2500
2 Mn 0.0000 0.7756 0.7500
3 Mn 0.0382 0.1938 0.5436
4 Mn 0.0382 0.8062 0.0436
5 Mn 0.1868 0.3663 0.1003
6 Mn 0.1868 0.6337 0.6003
7 Mn 0.2370 0.1016 0.3814
8 Mn 0.2370 0.8984 0.8814
9 Mn 0.2630 0.3984 0.8814
10 Mn 0.2630 0.6016 0.3814
11 Mn 0.3132 0.1337 0.6003
12 Mn 0.3132 0.8663 0.1003
13 Mn 0.4618 0.3062 0.0436
14 Mn 0.4618 0.6938 0.5436
15 Mn 0.5000 0.2756 0.7500
16 Mn 0.5000 0.7244 0.2500
17 Mn 0.5382 0.3062 0.4564
18 Mn 0.5382 0.6938 0.9564
19 Mn 0.6868 0.1337 0.8997
20 Mn 0.6868 0.8663 0.3997
21 Mn 0.7370 0.3984 0.6186
22 Mn 0.7370 0.6016 0.1186
23 Mn 0.7630 0.1016 0.1186
24 Mn 0.7630 0.8984 0.6186
25 Mn 0.8132 0.3663 0.3997
26 Mn 0.8132 0.6337 0.8997
27 Mn 0.9618 0.1938 0.9564
28 Mn 0.9618 0.8062 0.4564
29 Sn 0.0000 0.2963 0.7500
30 Sn 0.0000 0.7037 0.2500
31 Sn 0.5000 0.2037 0.2500
32 Sn 0.5000 0.7963 0.7500
33 N 0.0431 0.1295 0.0974
34 N 0.0431 0.8705 0.5974
35 N 0.1923 0.3553 0.2691
36 N 0.1923 0.6447 0.7691
37 N 0.2027 0.3544 0.5055
38 N 0.2027 0.6456 0.0055
39 N 0.2973 0.1456 0.0055
40 N 0.2973 0.8544 0.5055
41 N 0.3077 0.1447 0.7691
42 N 0.3077 0.8553 0.2691
43 N 0.4569 0.3705 0.5974
44 N 0.4569 0.6295 0.0974
45 N 0.5431 0.3705 0.9026
46 N 0.5431 0.6295 0.4026
47 N 0.6923 0.1447 0.7309
48 N 0.6923 0.8553 0.2309
49 N 0.7027 0.1456 0.4945
50 N 0.7027 0.8544 0.9945
51 N 0.7973 0.3544 0.9945
52 N 0.7973 0.6456 0.4945
53 N 0.8077 0.3553 0.2309
54 N 0.8077 0.6447 0.7309
55 N 0.9569 0.1295 0.4026
56 N 0.9569 0.8705 0.9026

Results
* space-group type: Pbcn, No. 60
* ΔE_f: -21.1 kJ/mol of atoms
* calculated density: 6.59 g/cm³

=====

2.
Material: MnSnN2
Method: DFT, PBE-GGA
State: optimized geometry

Cell: 5.7686 7.5443 5.0999 Å, 90.00 90.00 90.00°
Sites, in units of the cell vectors:
1 Mn 0.0116 0.1246 0.0000
2 Mn 0.4884 0.6246 0.5000
3 Mn 0.5116 0.3754 0.0000
4 Mn 0.9884 0.8754 0.5000
5 Sn 0.0867 0.6275 0.0210
6 Sn 0.4133 0.1275 0.5210
7 Sn 0.5867 0.8725 0.0210
8 Sn 0.9133 0.3725 0.5210
9 N 0.0230 0.1001 0.3558
10 N 0.2339 0.7459 0.4007
11 N 0.2661 0.2459 0.9007
12 N 0.4770 0.6001 0.8558
13 N 0.5230 0.3999 0.3558
14 N 0.7339 0.7541 0.4007
15 N 0.7661 0.2541 0.9007
16 N 0.9770 0.8999 0.8558

Results
* space-group type: Pna2_1, No. 33
* ΔE_f: -3.2 kJ/mol of atoms
* calculated density: 6.03 g/cm³

=====

3.
Material: Sr2MnN2
Method: DFT, PBE-GGA
State: optimized geometry

Cell: 6.3467 6.3467 12.3186 Å, 90.00 90.00 129.21°
Sites, in units of the cell vectors:
1 Sr 0.0554 0.9446 0.8606
2 Sr 0.1405 0.8595 0.4280
3 Sr 0.3595 0.6405 0.9280
4 Sr 0.4446 0.5554 0.3606
5 Sr 0.5554 0.4446 0.6394
6 Sr 0.6405 0.3595 0.0720
7 Sr 0.8595 0.1405 0.5720
8 Sr 0.9446 0.0554 0.1394
9 Mn 0.2354 0.7646 0.6660
10 Mn 0.2646 0.7354 0.1660
11 Mn 0.7354 0.2646 0.8340
12 Mn 0.7646 0.2354 0.3340
13 N 0.0837 0.9163 0.6360
14 N 0.1549 0.8451 0.0658
15 N 0.3451 0.6549 0.5658
16 N 0.4163 0.5837 0.1360
17 N 0.5837 0.4163 0.8640
18 N 0.6549 0.3451 0.4342
19 N 0.8451 0.1549 0.9342
20 N 0.9163 0.0837 0.3640

Results
* space-group type: Cmce, No. 64
* ΔE_f: -65.7 kJ/mol of atoms
* calculated density: 4.46 g/cm³

=====

4.
Material: Sr4MnN4
Method: DFT, PBE-GGA
State: optimized geometry

Cell: 11.7617 5.2601 11.5720 Å, 90.00 90.00 90.00°
Sites, in units of the cell vectors:
1 Sr 0.0554 0.2500 0.1102
2 Sr 0.0935 0.7500 0.3164
3 Sr 0.1362 0.7500 0.6629
4 Sr 0.2276 0.2500 0.4758
5 Sr 0.2724 0.7500 0.9758
6 Sr 0.3638 0.2500 0.1629
7 Sr 0.4065 0.2500 0.8164
8 Sr 0.4446 0.7500 0.6102
9 Sr 0.5554 0.2500 0.3898
10 Sr 0.5935 0.7500 0.1836
11 Sr 0.6362 0.7500 0.8371
12 Sr 0.7276 0.2500 0.0242
13 Sr 0.7724 0.7500 0.5242
14 Sr 0.8638 0.2500 0.3371
15 Sr 0.9065 0.2500 0.6836
16 Sr 0.9446 0.7500 0.8898
17 Mn 0.1347 0.2500 0.8516
18 Mn 0.3653 0.7500 0.3516
19 Mn 0.6347 0.2500 0.6484
20 Mn 0.8653 0.7500 0.1484
21 N 0.0038 0.7500 0.1094
22 N 0.0696 0.2500 0.3338
23 N 0.1783 0.2500 0.7106
24 N 0.2326 0.2500 0.9692
25 N 0.2674 0.7500 0.4692
26 N 0.3217 0.7500 0.2106
27 N 0.4304 0.7500 0.8338
28 N 0.4962 0.2500 0.6094
29 N 0.5038 0.7500 0.3906
30 N 0.5696 0.2500 0.1662
31 N 0.6783 0.2500 0.7894
32 N 0.7326 0.2500 0.5308
33 N 0.7674 0.7500 0.0308
34 N 0.8217 0.7500 0.2894
35 N 0.9304 0.7500 0.6662
36 N 0.9962 0.2500 0.8906

Results
* space-group type: Pnma, No. 62
* ΔE_f: -79.6 kJ/mol of atoms
* calculated density: 4.28 g/cm³

=====

5.
Material: SrMn2N2
Method: DFT, PBE-GGA
State: optimized geometry

Cell: 5.8155 5.8155 5.8891 Å, 92.51 92.51 102.35°
Sites, in units of the cell vectors:
1 Sr 0.0000 0.0000 0.0000
2 Sr 0.1957 0.8043 0.5000
3 Sr 0.8043 0.1957 0.5000
4 Mn 0.1935 0.4850 0.9063
5 Mn 0.3845 0.3845 0.2988
6 Mn 0.4850 0.1935 0.9063
7 Mn 0.5150 0.8065 0.0937
8 Mn 0.6155 0.6155 0.7012
9 Mn 0.8065 0.5150 0.0937
10 N 0.0754 0.4229 0.2044
11 N 0.3316 0.3316 0.6616
12 N 0.4229 0.0754 0.2044
13 N 0.5771 0.9246 0.7956
14 N 0.6684 0.6684 0.3384
15 N 0.9246 0.5771 0.7956

Results
* space-group type: C2/m, No. 12
* ΔE_f: -47.6 kJ/mol of atoms
* calculated density: 5.79 g/cm³

=====

6.
Material: SrMn4N4
Method: DFT, PBE-GGA
State: optimized geometry

Cell: 7.4427 7.4427 7.4427 Å, 60.00 60.00 60.00°
Sites, in units of the cell vectors:
1 Sr 0.0000 0.0000 0.0000
2 Sr 0.2500 0.2500 0.2500
3 Sr 0.7500 0.7500 0.7500
4 Mn 0.1515 0.3976 0.6024
5 Mn 0.1515 0.6024 0.8485
6 Mn 0.1515 0.8485 0.3976
7 Mn 0.3976 0.1515 0.8485
8 Mn 0.3976 0.6024 0.1515
9 Mn 0.3976 0.8485 0.6024
10 Mn 0.6024 0.1515 0.3976
11 Mn 0.6024 0.3976 0.8485
12 Mn 0.6024 0.8485 0.1515
13 Mn 0.8485 0.1515 0.6024
14 Mn 0.8485 0.3976 0.1515
15 Mn 0.8485 0.6024 0.3976
16 N 0.1046 0.3549 0.8954
17 N 0.1046 0.6451 0.3549
18 N 0.1046 0.8954 0.6451
19 N 0.3549 0.1046 0.6451
20 N 0.3549 0.6451 0.8954
21 N 0.3549 0.8954 0.1046
22 N 0.6451 0.1046 0.8954
23 N 0.6451 0.3549 0.1046
24 N 0.6451 0.8954 0.3549
25 N 0.8954 0.1046 0.3549
26 N 0.8954 0.3549 0.6451
27 N 0.8954 0.6451 0.1046

Results
* space-group type: Fm-3, No. 202
* ΔE_f: -46.9 kJ/mol of atoms
* calculated density: 6.21 g/cm³

=====

7.
Material: Sr2MnN2
Method: DFT, PBE-GGA
State: optimized geometry

Cell: 9.0537 16.3996 11.3892 Å, 90.00 95.97 90.00°
Sites, in units of the cell vectors:
1 Sr 0.0000 0.0000 0.0000
2 Sr 0.0000 0.5000 0.0000
3 Sr 0.0232 0.1110 0.6963
4 Sr 0.0232 0.3890 0.6963
5 Sr 0.0330 0.1284 0.2870
6 Sr 0.0330 0.3716 0.2870
7 Sr 0.2489 0.7500 0.8359
8 Sr 0.2878 0.6220 0.1290
9 Sr 0.2878 0.8780 0.1290
10 Sr 0.2999 0.6466 0.5481
11 Sr 0.2999 0.8534 0.5481
12 Sr 0.3373 0.0656 0.5526
13 Sr 0.3373 0.4344 0.5526
14 Sr 0.3379 0.0895 0.9819
15 Sr 0.3379 0.4105 0.9819
16 Sr 0.3550 0.2500 0.7582
17 Sr 0.3630 0.2500 0.2267
18 Sr 0.6370 0.7500 0.7733
19 Sr 0.6450 0.7500 0.2418
20 Sr 0.6621 0.5895 0.0181
21 Sr 0.6621 0.9105 0.0181
22 Sr 0.6627 0.5656 0.4474
23 Sr 0.6627 0.9344 0.4474
24 Sr 0.7001 0.1466 0.4519
25 Sr 0.7001 0.3534 0.4519
26 Sr 0.7122 0.1220 0.8710
27 Sr 0.7122 0.3780 0.8710
28 Sr 0.7511 0.2500 0.1641
29 Sr 0.9670 0.6284 0.7130
30 Sr 0.9670 0.8716 0.7130
31 Sr 0.9768 0.6110 0.3037
32 Sr 0.9768 0.8890 0.3037
33 Mn 0.0040 0.7500 0.4992
34 Mn 0.0999 0.2500 0.9872
35 Mn 0.2613 0.2500 0.4990
36 Mn 0.3162 0.5437 0.7855
37 Mn 0.3162 0.9563 0.7855
38 Mn 0.4291 0.0402 0.2637
39 Mn 0.4291 0.4598 0.2637
40 Mn 0.4926 0.7500 0.0218
41 Mn 0.5074 0.2500 0.9782
42 Mn 0.5709 0.5402 0.7363
43 Mn 0.5709 0.9598 0.7363
44 Mn 0.6838 0.0437 0.2145
45 Mn 0.6838 0.4563 0.2145
46 Mn 0.7387 0.7500 0.5010
47 Mn 0.9001 0.7500 0.0128
48 Mn 0.9960 0.2500 0.5008
49 N 0.0571 0.1532 0.9119
50 N 0.0571 0.3468 0.9119
51 N 0.0634 0.2500 0.1361
52 N 0.1098 0.7500 0.3844
53 N 0.1242 0.7500 0.6339
54 N 0.1271 0.1629 0.5048
55 N 0.1271 0.3371 0.5048
56 N 0.1825 0.5320 0.6638
57 N 0.1825 0.9680 0.6638
58 N 0.2423 0.5589 0.9202
59 N 0.2423 0.9411 0.9202
60 N 0.3114 0.2500 0.9921
61 N 0.4426 0.6296 0.7536
62 N 0.4426 0.8704 0.7536
63 N 0.4473 0.0452 0.7870
64 N 0.4473 0.4548 0.7870
65 N 0.5527 0.5452 0.2130
66 N 0.5527 0.9548 0.2130
67 N 0.5574 0.1296 0.2464
68 N 0.5574 0.3704 0.2464
69 N 0.6886 0.7500 0.0079
70 N 0.7577 0.0589 0.0798
71 N 0.7577 0.4411 0.0798
72 N 0.8175 0.0320 0.3362
73 N 0.8175 0.4680 0.3362
74 N 0.8729 0.6629 0.4952
75 N 0.8729 0.8371 0.4952
76 N 0.8758 0.2500 0.3661
77 N 0.8902 0.2500 0.6156
78 N 0.9366 0.7500 0.8639
79 N 0.9429 0.6532 0.0881
80 N 0.9429 0.8468 0.0881

Results
* space-group type: P2_1/m, No. 11
* ΔE_f: -51.9 kJ/mol of atoms
* calculated density: 4.08 g/cm³

=====

8.
Material: Sr10MnN8
Method: DFT, PBE-GGA
State: optimized geometry

Cell: 11.4283 11.4283 8.6775 Å, 109.72 109.72 24.57°
Sites, in units of the cell vectors:
1 Sr 0.0292 0.0292 0.3370
2 Sr 0.1966 0.1966 0.0312
3 Sr 0.2059 0.2059 0.6221
4 Sr 0.3574 0.3574 0.7520
5 Sr 0.4040 0.4040 0.2455
6 Sr 0.5960 0.5960 0.7545
7 Sr 0.6426 0.6426 0.2480
8 Sr 0.7941 0.7941 0.3779
9 Sr 0.8034 0.8034 0.9688
10 Sr 0.9708 0.9708 0.6630
11 Mn 0.5000 0.5000 0.0000
12 N 0.0923 0.0923 0.6424
13 N 0.1927 0.1927 0.3280
14 N 0.3066 0.3066 0.9743
15 N 0.4813 0.4813 0.7899
16 N 0.5187 0.5187 0.2101
17 N 0.6934 0.6934 0.0257
18 N 0.8073 0.8073 0.6720
19 N 0.9077 0.9077 0.3576

Results
* space-group type: C2/m, No. 12
* ΔE_f: -50.9 kJ/mol of atoms
* calculated density: 3.92 g/cm³

=====

9.
Material: SrMn2N2
Method: DFT, PBE-GGA
State: optimized geometry

Cell: 6.2932 6.2932 6.2932 Å, 120.68 120.68 88.82°
Sites, in units of the cell vectors:
1 Sr 0.2500 0.2500 0.0000
2 Sr 0.7500 0.7500 0.0000
3 Mn 0.1354 0.6354 0.7708
4 Mn 0.3646 0.1354 0.5000
5 Mn 0.6354 0.8646 0.5000
6 Mn 0.8646 0.3646 0.2292
7 N 0.1605 0.3395 0.5000
8 N 0.3395 0.8395 0.1791
9 N 0.6605 0.1605 0.8209
10 N 0.8395 0.6605 0.5000

Results
* space-group type: I4/mcm, No. 140
* ΔE_f: -33.9 kJ/mol of atoms
* calculated density: 4.29 g/cm³

=====

10.
Material: SrMn2N2
Method: DFT, PBE-GGA
State: optimized geometry

Cell: 3.3627 3.3627 6.3236 Å, 90.00 90.00 120.00°
Sites, in units of the cell vectors:
1 Sr 0.0000 0.0000 0.0000
2 Mn 0.3333 0.6667 0.3854
3 Mn 0.6667 0.3333 0.6146
4 N 0.3333 0.6667 0.6920
5 N 0.6667 0.3333 0.3080

Results
* space-group type: P-3m1, No. 164
* ΔE_f: -44.3 kJ/mol of atoms
* calculated density: 6.05 g/cm³

=====

11.
Material: Sr4MnN4
Method: DFT, PBE-GGA
State: optimized geometry

Cell: 6.1970 6.7959 9.0212 Å, 105.38 95.73 95.54°
Sites, in units of the cell vectors:
1 Sr 0.2274 0.4714 0.3699
2 Sr 0.2558 0.3827 0.9077
3 Sr 0.2619 0.9744 0.1049
4 Sr 0.2670 0.0801 0.5574
5 Sr 0.7330 0.9199 0.4426
6 Sr 0.7381 0.0256 0.8951
7 Sr 0.7442 0.6173 0.0923
8 Sr 0.7726 0.5286 0.6301
9 Mn 0.2984 0.7247 0.7371
10 Mn 0.7016 0.2753 0.2629
11 N 0.0941 0.8931 0.7783
12 N 0.1828 0.4658 0.6506
13 N 0.4626 0.7245 0.9109
14 N 0.4769 0.8058 0.6151
15 N 0.5231 0.1942 0.3849
16 N 0.5374 0.2755 0.0891
17 N 0.8172 0.5342 0.3494
18 N 0.9059 0.1069 0.2217

Results
* space-group type: P-1, No. 2
* ΔE_f: -75.3 kJ/mol of atoms
* calculated density: 4.24 g/cm³

=====

12.
Material: Ta3MnN4
Method: DFT, PBE-GGA
State: optimized geometry

Cell: 3.0181 3.0181 10.8000 Å, 90.00 90.00 120.00°
Sites, in units of the cell vectors:
1 Ta 0.0000 0.0000 0.0000
2 Ta 0.3333 0.6667 0.2559
3 Ta 0.6667 0.3333 0.7441
4 Mn 0.0000 0.0000 0.5000
5 N 0.3333 0.6667 0.6248
6 N 0.3333 0.6667 0.8712
7 N 0.6667 0.3333 0.1288
8 N 0.6667 0.3333 0.3752

Results
* space-group type: P-3m1, No. 164
* ΔE_f: -91.7 kJ/mol of atoms
* calculated density: 12.74 g/cm³

=====

13.
Material: MnTeN2
Method: DFT, PBE-GGA
State: optimized geometry

Cell: 5.4427 8.1749 5.9356 Å, 90.00 90.00 90.00°
Sites, in units of the cell vectors:
1 Mn 0.0278 0.1058 0.0000
2 Mn 0.4722 0.6058 0.5000
3 Mn 0.5278 0.3942 0.0000
4 Mn 0.9722 0.8942 0.5000
5 Te 0.0275 0.4883 0.5003
6 Te 0.4725 0.9883 0.0003
7 Te 0.5275 0.0117 0.5003
8 Te 0.9725 0.5117 0.0003
9 N 0.0006 0.0005 0.2509
10 N 0.1859 0.2997 0.0008
11 N 0.3141 0.7997 0.5008
12 N 0.4994 0.5005 0.7509
13 N 0.5006 0.4995 0.2509
14 N 0.6859 0.2003 0.0008
15 N 0.8141 0.7003 0.5008
16 N 0.9994 0.9995 0.7509

Results
* space-group type: Pna2_1, No. 33
* ΔE_f: 11.1 kJ/mol of atoms
* calculated density: 5.30 g/cm³

=====

14.
Material: Th2MnN3
Method: DFT, PBE-GGA
State: optimized geometry

Cell: 6.8739 6.8739 6.8739 Å, 150.09 147.41 44.82°
Sites, in units of the cell vectors:
1 Th 0.1443 0.1443 0.0000
2 Th 0.8557 0.8557 0.0000
3 Mn 0.5000 0.5000 0.0000
4 N 0.0000 0.5000 0.5000
5 N 0.3373 0.3373 0.0000
6 N 0.6627 0.6627 0.0000

Results
* space-group type: Immm, No. 71
* ΔE_f: -147.4 kJ/mol of atoms
* calculated density: 10.71 g/cm³